[1]
# Mn3AgAs3H2O12 GGA+U relaxed
data_Mn3AgAs3H2O12
_cell_length_a 12.6192
_cell_length_b 12.8464
_cell_length_c 7.0285
_cell_angle_alpha 90.00
_cell_angle_beta 113.72
_cell_angle_gamma 90.00
_space_group_name_H-M_alt 'C 1 2/c 1'
_space_group_IT_number 15
loop_
_space_group_symop_operation_xyz
'x,y,z'
'-x,-y,-z'
'-x,y,-z+1/2'
'x,-y,z+1/2'
'x+1/2,y+1/2,z'
'-x+1/2,-y+1/2,-z'
'-x+1/2,y+1/2,-z+1/2'
'x+1/2,-y+1/2,z+1/2'
loop_
_atom_site_label
_atom_site_fract_x
_atom_site_fract_y
_atom_site_fract_z
_atom_site_occupancy
Mn1 0.0000 0.2126 0.2500 1
Mn2 0.2014 0.3410 0.1127 1
Ag1 0.0000 0.4936 0.7500 1
As1 0.0000 0.1817 0.7500 1
As2 0.2214 0.3830 0.6140 1
H1 0.1136 0.0150 0.7959 1
O1 0.0347 0.2539 0.9709 1
O2 0.1146 0.0996 0.7674 1
O3 0.1344 0.0892 0.3323 1
O4 0.1488 0.5003 0.0956 1
O5 0.1534 0.3214 0.3771 1
O6 0.2116 0.3105 0.8121 1
# Total DFT energy (no corrections), eV/atom: -6.35


[2]
# V2Ag6As2O13 GGA+U relaxed
data_V2Ag6As2O13
_cell_length_a 19.2319
_cell_length_b 5.4852
_cell_length_c 13.2058
_cell_angle_alpha 90.00
_cell_angle_beta 113.26
_cell_angle_gamma 90.00
_space_group_name_H-M_alt 'C 1 2/c 1'
_space_group_IT_number 15
loop_
_space_group_symop_operation_xyz
'x,y,z'
'-x,-y,-z'
'-x,y,-z+1/2'
'x,-y,z+1/2'
'x+1/2,y+1/2,z'
'-x+1/2,-y+1/2,-z'
'-x+1/2,y+1/2,-z+1/2'
'x+1/2,-y+1/2,z+1/2'
loop_
_atom_site_label
_atom_site_fract_x
_atom_site_fract_y
_atom_site_fract_z
_atom_site_occupancy
V1 0.0914 0.0264 0.2747 1
Ag1 0.0041 0.4776 0.8892 1
Ag2 0.1980 0.4964 0.9579 1
Ag3 0.2055 0.4823 0.7058 1
As1 0.1222 0.0002 0.0445 1
O1 0.0000 0.1357 0.7500 1
O2 0.0721 0.0981 0.6212 1
O3 0.0851 0.1512 0.4190 1
O4 0.1005 0.3242 0.2440 1
O5 0.1179 0.3132 0.0289 1
O6 0.1758 0.1126 0.8375 1
O7 0.2142 0.1050 0.6109 1
# Total DFT energy (no corrections), eV/atom: -5.56


[3]
# VAg2AsO6 GGA+U relaxed
data_VAg2AsO6
_cell_length_a 6.5357
_cell_length_b 6.5374
_cell_length_c 7.2062
_cell_angle_alpha 91.66
_cell_angle_beta 116.09
_cell_angle_gamma 90.04
_space_group_name_H-M_alt 'P -1'
_space_group_IT_number 2
loop_
_space_group_symop_operation_xyz
'x,y,z'
'-x,-y,-z'
loop_
_atom_site_label
_atom_site_fract_x
_atom_site_fract_y
_atom_site_fract_z
_atom_site_occupancy
V1 0.1171 0.0807 0.2244 1
Ag1 0.1133 0.3841 0.7417 1
Ag2 0.3778 0.6272 0.2157 1
As1 0.3419 0.8474 0.6912 1
O1 0.0089 0.7972 0.0095 1
O2 0.1637 0.9955 0.7565 1
O3 0.2105 0.2705 0.4025 1
O4 0.2239 0.8120 0.4246 1
O5 0.3911 0.6184 0.8126 1
O6 0.4087 0.0104 0.2216 1
# Total DFT energy (no corrections), eV/atom: -5.83


[4]
# Ba2CoAg2Se2O2 GGA+U relaxed
data_Ba2CoAg2Se2O2
_cell_length_a 4.1725
_cell_length_b 4.1725
_cell_length_c 21.2505
_cell_angle_alpha 90.00
_cell_angle_beta 90.00
_cell_angle_gamma 90.00
_space_group_name_H-M_alt 'I 4/m m m'
_space_group_IT_number 139
_space_group_name_Hall '-I 4 2'
loop_
_atom_site_label
_atom_site_fract_x
_atom_site_fract_y
_atom_site_fract_z
_atom_site_occupancy
Ba1 0.0000 0.0000 0.0880 1
Co1 0.0000 0.0000 0.5000 1
Ag1 0.0000 0.5000 0.2500 1
Se1 0.0000 0.0000 0.3366 1
O1 0.0000 0.5000 0.0000 1
# Total DFT energy (no corrections), eV/atom: -4.72


no.,ΔH_f (0 K) (eV/atom)
1,-1.7181
2,-1.3611
3,-1.4994
4,-1.3327